First-principles (GGA-PBE) data for a relaxed CuTe crystal, as listed in the Materials Project database.

POSCAR file:
```
CuTe
1.0
-1.948 2.015 2.641
1.948 -2.015 2.641
1.948 2.015 -2.641
Cu Te
1 1
direct
0.000 0.000 0.000
0.500 0.500 0.000
```

Energy = -3.58 eV/atom
Calculated volume = 41.5 Å³/f.u.
Symmetry = Immm, No. 71

=====

First-principles (GGA-PBE) data for a relaxed Mg16Al12Tl crystal, as listed in the Materials Project database.

POSCAR file:
```
Mg16Al12Tl
1.0
7.460 4.307 3.083
-7.460 4.307 3.083
0.000 -8.614 3.083
Mg Al Tl
16 12 1
direct
0.000 0.000 0.000
0.289 0.602 0.602
0.312 0.312 0.710
0.312 0.710 0.312
0.397 0.679 0.997
0.397 0.997 0.679
0.602 0.289 0.602
0.602 0.602 0.289
0.653 0.998 0.998
0.679 0.397 0.997
0.679 0.997 0.397
0.710 0.312 0.312
0.997 0.397 0.679
0.997 0.679 0.397
0.998 0.653 0.998
0.998 0.998 0.653
0.178 0.362 0.990
0.178 0.990 0.362
0.181 0.813 0.813
0.362 0.178 0.990
0.362 0.990 0.178
0.636 0.636 0.823
0.636 0.823 0.636
0.813 0.181 0.813
0.813 0.813 0.181
0.823 0.636 0.636
0.990 0.178 0.362
0.990 0.362 0.178
0.344 0.344 0.344
```

Energy = -2.53 eV/atom
Calculated volume = 594.4 Å³/f.u.
Symmetry = R3m, No. 160
Excess energy over the best structure of this formula in the dataset = 0 meV per atom

=====

First-principles (GGA-PBE) data for a relaxed Tb3P6Pd20 crystal, as listed in the Materials Project database.

POSCAR file:
```
Tb3P6Pd20
1.0
0.000 6.156 6.156
6.156 0.000 6.156
6.156 6.156 0.000
Tb P Pd
3 6 20
direct
0.000 0.000 0.000
0.250 0.250 0.250
0.750 0.750 0.750
0.263 0.263 0.737
0.263 0.737 0.263
0.263 0.737 0.737
0.737 0.263 0.263
0.737 0.263 0.737
0.737 0.737 0.263
0.000 0.000 0.346
0.000 0.000 0.654
0.000 0.346 0.000
0.000 0.346 0.654
0.000 0.654 0.000
0.000 0.654 0.346
0.154 0.615 0.615
0.346 0.000 0.000
0.346 0.000 0.654
0.346 0.654 0.000
0.385 0.385 0.385
0.385 0.385 0.846
0.385 0.846 0.385
0.615 0.154 0.615
0.615 0.615 0.154
0.615 0.615 0.615
0.654 0.000 0.000
0.654 0.000 0.346
0.654 0.346 0.000
0.846 0.385 0.385
```

Energy = -5.90 eV/atom
Calculated volume = 466.7 Å³/f.u.
Symmetry = Fm-3m, No. 225

=====

| no. | energy of formation (eV per atom) |
| --- | --- |
| 1 | -0.166 |
| 2 | -0.015 |
| 3 | -0.728 |